[1]
VASP calculation (GGA-PBE) on a geometry-optimized MgNb3 structure.

```
MgNb3
1.0
3.5245 -1.3477 3.0612
-0.5622 3.4502 3.3747
-3.5256 -2.8936 -1.6750
Mg Nb
1 3
Cartesian
0.0000 0.0000 0.0000 Mg
1.4811 1.0513 3.2179 Nb
0.7400 -1.5950 2.3020 Nb
-1.3034 0.8039 2.4588 Nb
```

The calculation puts the energy at -7.704 eV/atom. Its formation energy from the elements is 26.3 kJ/mol of atoms. As for the crystal system: tetragonal.

***

[2]
VASP calculation (GGA-PBE) on a geometry-optimized SrU2Se5 structure.

```
SrU2Se5
1.0
-0.3391 -6.2107 -4.6107
-6.9286 2.8693 -3.3554
6.8893 6.2298 -8.8985
Sr U Se
4 8 20
Cartesian
-5.2958 -0.4127 -4.5043 Sr
-1.7365 4.8034 -7.3937 Sr
4.9174 3.3011 -12.3602 Sr
1.3581 -1.9150 -9.4708 Sr
-6.0061 -2.1348 -9.5288 U
1.0571 2.5054 -10.1087 U
2.1706 6.4549 -9.0099 U
2.0216 -1.0486 -5.0816 U
5.6277 5.0232 -7.3357 U
-1.4355 0.3830 -6.7558 U
-2.5490 -3.5665 -7.8546 U
-2.4000 3.9370 -11.7829 U
2.0398 2.9025 -12.7612 Se
-4.2535 -0.0584 -10.4095 Se
0.3756 -1.1711 -2.7503 Se
1.0812 4.1038 -7.8080 Se
-2.4182 -0.0141 -4.1033 Se
3.8751 2.9468 -6.4550 Se
-0.7541 4.0595 -14.1142 Se
-1.4596 -1.2154 -9.0565 Se
-4.1509 -0.9056 -7.2901 Se
-0.7550 1.3151 -12.4032 Se
3.7724 3.7940 -9.5744 Se
0.3766 1.5732 -4.4613 Se
-5.1927 2.0408 -2.6192 Se
-1.9045 2.2913 -9.1950 Se
4.8143 0.8476 -14.2453 Se
1.5261 0.5971 -7.6695 Se
0.0983 5.2200 -10.8261 Se
-3.3184 2.6180 -5.9960 Se
-0.4767 -2.3316 -6.0385 Se
2.9399 0.2704 -10.8685 Se
```

The value obtained for the MP2020-corrected energy is -6.735 eV per atom. The calculation puts the energy at -6.440 eV/atom. Its formation energy from the elements is -146.2 kJ/mol of atoms. As for the crystal system: orthorhombic.

***

[3]
VASP calculation (GGA-PBE) on a geometry-optimized Dy2MgSe4 structure.

```
Dy2MgSe4
1.0
-7.4788 0.0000 0.0000
-0.0035 -8.6726 0.0000
1.3110 2.2112 13.6148
Dy Mg Se
8 4 16
Cartesian
-5.5483 -1.0584 9.5151 Dy
-0.6229 -5.4031 4.0997 Dy
-5.6734 -1.0955 0.0089 Dy
-0.4978 -5.3659 13.6060 Dy
-4.3316 -3.1909 4.0799 Dy
-1.8395 -3.2706 9.5349 Dy
-4.3354 -7.6199 4.1232 Dy
-1.8358 1.1585 9.4916 Dy
-5.5670 -5.3897 9.5685 Mg
-0.6042 -1.0718 4.0463 Mg
-4.3131 -3.2011 13.5691 Mg
-1.8581 -3.2603 0.0458 Mg
-5.5992 -1.0941 12.2182 Se
-0.5720 -5.3673 1.3967 Se
-5.5084 -5.3474 12.1398 Se
-0.6628 -1.1140 1.4750 Se
-5.7056 -1.0736 5.0999 Se
-0.4656 -5.3878 8.5150 Se
-5.5663 -5.4002 5.1402 Se
-0.6049 -1.0613 8.4746 Se
-4.3793 1.2021 8.5259 Se
-1.7919 -7.6635 5.0889 Se
-4.3704 -3.3150 8.5343 Se
-1.8008 -3.1465 5.0806 Se
-4.3931 -7.5419 1.4131 Se
-1.7781 1.0805 12.2018 Se
-4.3248 -3.3039 1.3802 Se
-1.8464 -3.1575 12.2346 Se
```

The value obtained for the MP2020-corrected energy is -5.317 eV per atom. The calculation puts the energy at -5.047 eV/atom. Its formation energy from the elements is -171.2 kJ/mol of atoms. As for the crystal system: triclinic.

***

[4]
VASP calculation (GGA-PBE) on a geometry-optimized VCl2 structure.

```
VCl2
1.0
-1.8277 -3.1656 0.0000
-1.8277 3.1656 0.0000
0.0000 0.0000 -6.0860
V Cl
1 2
Cartesian
0.0000 0.0000 0.0000 V
-1.8277 -1.0552 -1.3328 Cl
-1.8277 1.0552 -4.7532 Cl
```

The value obtained for the MP2020-corrected energy is -5.823 eV per atom. The calculation puts the energy at -5.414 eV/atom. Its formation energy from the elements is -150.8 kJ/mol of atoms. As for the crystal system: trigonal.

***

[5]
VASP calculation (GGA-PBE) on a geometry-optimized LaMoN3 structure.

```
LaMoN3
1.0
5.0668 5.4565 0.0000
-5.0668 5.4565 0.0000
0.0000 2.0367 6.0484
La Mo N
4 4 12
Cartesian
-1.8906 5.9657 1.5121 La
4.1297 5.9657 1.5121 La
-4.1297 6.9840 4.5363 La
1.8906 6.9840 4.5363 La
-0.9052 9.2672 4.5343 Mo
0.9052 3.6824 1.5141 Mo
0.9052 8.2489 1.5101 Mo
-0.9052 4.7008 4.5383 Mo
-2.4551 8.6383 5.1712 N
-1.1346 2.9613 5.1184 N
0.1884 7.1182 0.0586 N
-2.4551 5.3298 3.9014 N
2.4551 7.6199 2.1470 N
1.1346 1.9430 2.0942 N
-0.1884 5.8314 5.9898 N
-1.1346 11.0067 3.9542 N
2.4551 4.3114 0.8772 N
0.1884 4.8131 2.9656 N
1.1346 9.9884 0.9300 N
-0.1884 8.1366 3.0828 N
```

The value obtained for the MP2020-corrected energy is -9.273 eV per atom. The calculation puts the energy at -9.056 eV/atom. Its formation energy from the elements is -107.5 kJ/mol of atoms. As for the crystal system: monoclinic.

***

[6]
VASP calculation (GGA-PBE) on a geometry-optimized DyIO9 structure.

```
DyIO9
1.0
6.1691 0.0000 -4.2755
-5.0507 0.0000 -6.1706
0.0000 12.0307 0.0000
Dy I O
4 4 36
Cartesian
-4.1251 5.0533 -5.0465 Dy
5.2436 6.9774 -5.3995 Dy
-0.3663 11.0687 -6.3471 Dy
1.4848 0.9620 -4.0990 Dy
0.8528 2.3248 -7.8069 I
0.2657 9.7060 -2.6392 I
0.8249 8.3401 -7.8622 I
0.2936 3.6906 -2.5839 I
1.0525 0.7544 -6.2752 O
0.0660 11.2763 -4.1709 O
0.6252 6.7698 -9.3939 O
0.4932 5.2609 -1.0522 O
1.0869 9.4156 -6.3045 O
0.0315 2.6151 -4.1416 O
0.5908 3.4002 -9.3646 O
0.5277 8.6305 -1.0815 O
-2.0688 3.4373 -6.0024 O
3.1873 8.5934 -4.4436 O
-2.4226 9.4527 -5.3912 O
3.5411 2.5780 -5.0549 O
2.3671 3.2872 -7.4213 O
-1.2486 8.7435 -3.0248 O
-0.6893 9.3026 -8.2478 O
1.8078 2.7281 -2.1983 O
-2.0172 5.8068 -4.2444 O
3.1357 6.2239 -6.2017 O
-2.4742 11.8222 -7.1492 O
3.5927 0.2085 -3.2968 O
-1.7768 6.9321 -6.8649 O
2.8952 5.0986 -3.5812 O
-2.7147 0.9168 -4.5288 O
3.8332 11.1139 -5.9173 O
-3.4543 9.9222 -4.8715 O
4.5728 2.1086 -5.5746 O
-1.0371 3.9068 -6.5221 O
2.1556 8.1239 -3.9239 O
2.4353 6.4029 -7.2925 O
-1.3169 5.6278 -3.1536 O
-0.7576 0.3875 -8.3766 O
1.8761 11.6432 -2.0694 O
-3.9239 0.7797 -4.8503 O
5.0424 11.2510 -5.5957 O
-0.5675 6.7951 -6.5433 O
1.6860 5.2356 -3.9028 O
```

The value obtained for the MP2020-corrected energy is -5.432 eV per atom. The calculation puts the energy at -5.301 eV/atom. Its formation energy from the elements is -79.8 kJ/mol of atoms. As for the crystal system: monoclinic.

***

[7]
VASP calculation (GGA-PBE) on a geometry-optimized CeRhC2 structure.

```
CeRhC2
1.0
-1.6618 -2.3186 -2.6281
2.2934 -2.9188 1.1249
-10.5537 -4.2690 10.4397
Ce Rh C
4 4 8
Cartesian
-4.8739 -5.4842 7.0935 Ce
-2.3906 -2.9472 -0.7859 Ce
-3.4008 -6.0682 2.6303 Ce
-9.1406 -4.4976 8.8972 Ce
-1.4017 -3.6715 2.0976 Rh
-7.8761 -5.5742 6.2016 Rh
-9.8399 -7.5432 9.1248 Rh
-4.7148 -3.8370 4.3942 Rh
-3.2985 -3.2396 3.0241 C
-8.4428 -7.0026 7.7120 C
0.0300 -3.1235 0.7228 C
-6.4945 -4.9842 4.7934 C
-3.0323 -2.3714 2.0042 C
-7.1907 -7.2567 7.2299 C
1.0942 -2.2996 0.4915 C
-6.0403 -5.1940 3.5228 C
```

The calculation puts the energy at -8.205 eV/atom. Its formation energy from the elements is -25.7 kJ/mol of atoms. As for the crystal system: tetragonal.

***

[8]
VASP calculation (GGA-PBE) on a geometry-optimized MgGa2S4 structure.

```
MgGa2S4
1.0
6.3635 -0.0001 3.6741
2.1211 5.9996 3.6740
0.0000 -0.0001 7.3481
Mg Ga S
2 4 8
Cartesian
7.4240 5.2494 12.8592 Mg
1.0607 0.7499 1.8370 Mg
4.2424 2.9998 7.3479 Ga
4.2423 2.9996 11.0221 Ga
7.4240 2.9995 9.1852 Ga
3.1817 -0.0001 5.5111 Ga
6.2681 4.4320 10.8567 S
2.2166 1.5673 7.1827 S
3.1817 4.2971 5.5111 S
5.1120 1.5673 5.5111 S
5.3029 1.7023 9.1850 S
3.3727 4.4320 9.1851 S
2.2166 1.5673 3.8395 S
6.2681 4.4320 7.5135 S
```

The value obtained for the MP2020-corrected energy is -4.524 eV per atom. The calculation puts the energy at -4.236 eV/atom. Its formation energy from the elements is -102.9 kJ/mol of atoms. As for the crystal system: cubic.

***

[9]
VASP calculation (GGA-PBE) on a geometry-optimized LiScTl2 structure.

```
LiScTl2
1.0
2.7019 1.1212 4.1049
0.7170 4.8149 1.3077
-2.2829 1.8683 4.0872
Li Sc Tl
1 1 2
Cartesian
0.5680 3.9022 4.7499 Li
0.0000 0.0000 0.0000 Sc
0.2840 1.9511 2.3750 Tl
0.8520 5.8533 7.1249 Tl
```

The calculation puts the energy at -3.498 eV/atom. Its formation energy from the elements is -24.7 kJ/mol of atoms. As for the crystal system: cubic.

***

[10]
VASP calculation (GGA-PBE) on a geometry-optimized LiP5 structure.

```
LiP5
1.0
6.1267 0.0000 0.0000
0.0000 8.0789 0.0000
0.0000 0.0000 9.5121
Li P
4 20
Cartesian
1.4389 5.1025 6.0525 Li
1.4389 7.0158 1.2964 Li
4.5023 1.0631 8.2157 Li
4.5023 2.9764 3.4596 Li
0.8745 4.1140 8.4289 P
0.8745 8.0043 3.6729 P
1.7241 4.4770 0.9774 P
0.4381 1.1462 0.4203 P
1.7728 2.0047 3.6612 P
0.4381 2.8933 5.1763 P
1.7728 2.0348 8.4172 P
1.7241 7.6413 5.7334 P
3.6645 5.3167 7.6131 P
3.6645 6.8016 2.8571 P
3.9378 0.0746 5.8392 P
3.9378 3.9648 1.0832 P
4.8362 6.0441 1.0949 P
4.7874 3.6019 8.5347 P
3.5014 6.9327 9.0918 P
4.8362 6.0742 5.8509 P
4.7874 0.4376 3.7786 P
3.5014 5.1856 4.3358 P
0.6012 1.2772 6.6550 P
0.6012 2.7622 1.8990 P
```

The calculation puts the energy at -4.937 eV/atom. Its formation energy from the elements is -10.4 kJ/mol of atoms. Its piezoelectric modulus e_max is 0.44 C/m2. As for the crystal system: orthorhombic.

***

[11]
VASP calculation (GGA-PBE) on a geometry-optimized Fe3Co3Ge2 structure.

```
Fe3Co3Ge2
1.0
-6.1654 -0.7260 -3.2527
-3.3243 -0.6866 -6.1316
-4.0319 -4.0724 -4.0346
Fe Co Ge
3 3 2
Cartesian
-11.8728 -4.8163 -11.7827 Fe
-1.6593 -0.6731 -1.6467 Fe
-8.4796 -3.4398 -8.4153 Fe
-10.2274 -4.1488 -10.1498 Co
-3.3092 -1.3424 -3.2841 Co
-5.0295 -2.0403 -4.9914 Co
-0.0139 -0.0056 -0.0138 Ge
-6.7337 -2.7316 -6.6826 Ge
```

The calculation puts the energy at -7.037 eV/atom. Its formation energy from the elements is -3.8 kJ/mol of atoms. As for the crystal system: trigonal.

***

[12]
VASP calculation (GGA-PBE) on a geometry-optimized Eu3DySb3 structure.

```
Eu3DySb3
1.0
-0.4399 0.3515 -8.2715
0.9361 -7.9048 2.3177
-6.5681 -4.4752 -2.6359
Eu Dy Sb
6 2 6
Cartesian
-3.3781 -4.6904 -8.7581 Eu
-0.7195 -4.4229 -3.3525 Eu
-2.4757 -2.5231 -5.9327 Eu
-5.7760 -12.2449 -3.2568 Eu
-4.0039 -6.6581 -4.6735 Eu
-5.0741 -8.8752 -1.9736 Eu
-6.9418 -4.1722 -9.7356 Dy
-2.4766 -9.0219 0.6721 Dy
-4.3780 -10.0468 -5.2221 Sb
-1.4206 -5.8490 -6.4183 Sb
-4.1418 -3.6536 -3.3341 Sb
-5.6988 -6.6112 -7.6797 Sb
-1.8925 -7.5075 -2.3422 Sb
-0.6941 -2.3984 -0.7562 Sb
```

The value obtained for the MP2020-corrected energy is -7.996 eV per atom. The calculation puts the energy at -7.914 eV/atom. Its formation energy from the elements is -113.2 kJ/mol of atoms. As for the crystal system: monoclinic.

***

[13]
VASP calculation (GGA-PBE) on a geometry-optimized BaCaZr2O6 structure.

```
BaCaZr2O6
1.0
-0.1012 -3.2342 2.6923
3.9531 0.8501 1.1698
-2.8827 5.1089 6.0290
Ba Ca Zr O
1 1 2 6
Cartesian
1.9260 -1.1920 1.9310 Ba
0.4846 1.3624 4.9455 Ca
-2.1471 3.8051 4.4904 Zr
-0.7357 1.3038 1.5386 Zr
-2.1860 2.1674 5.8121 O
-0.7979 -0.2926 2.9091 O
-1.4414 2.5545 3.0145 O
0.0000 0.0000 0.0000 O
-0.1588 4.2095 5.0509 O
1.2292 1.7495 2.1479 O
```

The value obtained for the MP2020-corrected energy is -8.629 eV per atom. The calculation puts the energy at -8.217 eV/atom. Its formation energy from the elements is -343.3 kJ/mol of atoms. As for the crystal system: tetragonal.

***

[14]
VASP calculation (GGA-PBE) on a geometry-optimized K2PrAgBr6 structure.

```
K2PrAgBr6
1.0
0.0000 5.7500 5.7500
5.7500 0.0000 5.7500
5.7500 5.7500 0.0000
K Pr Ag Br
2 1 1 6
Cartesian
8.6251 8.6251 8.6251 K
2.8750 2.8750 2.8750 K
5.7500 5.7500 5.7500 Pr
0.0000 0.0000 0.0000 Ag
2.8558 5.7500 5.7500 Br
5.7500 5.7500 2.8558 Br
8.6443 5.7500 5.7500 Br
5.7500 2.8558 5.7500 Br
5.7500 8.6443 5.7500 Br
5.7500 5.7500 8.6443 Br
```

The value obtained for the MP2020-corrected energy is -3.774 eV per atom. The calculation puts the energy at -3.453 eV/atom. Its formation energy from the elements is -174.5 kJ/mol of atoms. As for the crystal system: cubic.

***

[15]
VASP calculation (GGA-PBE) on a geometry-optimized FeP4 structure.

```
FeP4
1.0
-11.1086 1.6716 -7.8209
1.3719 -3.4928 -2.6951
-3.0455 -5.4796 3.1546
Fe P
6 24
Cartesian
-7.6112 -0.0218 -5.2459 Fe
-1.8719 -4.8065 -2.4422 Fe
-5.1711 -7.2790 -2.1156 Fe
-10.9103 -2.4942 -4.9193 Fe
-7.0770 -1.9040 -2.3332 Fe
0.0000 0.0000 0.0000 Fe
-8.0910 -0.5860 -7.3296 P
-3.8447 -3.8732 -2.0852 P
-4.6913 -6.7147 -0.0318 P
-8.9375 -3.4276 -5.2762 P
-8.4456 -3.9480 -7.4107 P
-3.3660 -0.5299 -1.9167 P
-1.0930 -1.9580 -0.1625 P
-5.8146 -3.2578 -5.7123 P
-11.6892 -5.3427 -7.1989 P
-6.9677 -4.0429 -1.6491 P
-12.0472 -4.3836 -5.2195 P
-5.4357 -5.1787 -2.8020 P
-0.7350 -2.9171 -2.1419 P
-7.3465 -2.1220 -4.5594 P
-3.3425 -5.1431 0.9481 P
-7.9123 -5.3564 -4.5849 P
-9.4397 -2.1576 -8.3096 P
-4.8699 -1.9443 -2.7766 P
-8.5032 -5.4503 -2.4066 P
-1.4912 -5.2389 -0.3428 P
-4.2790 -1.8504 -4.9549 P
-11.2910 -2.0619 -7.0187 P
-9.4162 -6.7709 -5.4447 P
-4.3366 -3.3528 0.0493 P
```

The calculation puts the energy at -6.396 eV/atom. Its formation energy from the elements is -35.8 kJ/mol of atoms. As for the crystal system: monoclinic.

***

[16]
VASP calculation (GGA-PBE) on a geometry-optimized Mg6CdGa structure.

```
Mg6CdGa
1.0
5.0835 0.0000 0.0000
0.0000 6.2408 0.0000
0.0000 0.0000 10.9318
Mg Cd Ga
12 2 2
Cartesian
0.0000 4.6579 0.9423 Mg
0.0000 1.5829 0.9423 Mg
0.0000 0.0000 3.6407 Mg
2.5418 1.5651 4.5382 Mg
2.5418 4.6758 4.5382 Mg
2.5418 0.0000 1.8259 Mg
0.0000 1.5375 6.4082 Mg
0.0000 4.7033 6.4082 Mg
0.0000 3.1204 9.1067 Mg
2.5418 4.6855 10.0041 Mg
2.5418 1.5553 10.0041 Mg
2.5418 3.1204 7.2918 Mg
0.0000 3.1204 3.6825 Cd
0.0000 0.0000 9.1484 Cd
2.5418 3.1204 1.7535 Ga
2.5418 0.0000 7.2194 Ga
```

The calculation puts the energy at -1.738 eV/atom. Its formation energy from the elements is -4.3 kJ/mol of atoms.